Bi9I2 (r²SCAN, relaxed); E_form = -0.112 eV per atom; space group = P2_1/m (11); energy = -52.442 eV per atom; calculated volume = 38.3 Å³/atom; spin magnetization = 0.0 μB/cell
1.0
13.422 0.000 0.000
0.000 4.465 0.000
-6.577 0.000 14.066
Bi I
18 4
Direct
0.005 0.250 0.333
0.060 0.750 0.070
0.113 0.250 0.808
0.201 0.250 0.283
0.259 0.750 0.019
0.305 0.250 0.751
0.317 0.750 0.428
0.377 0.250 0.159
0.425 0.750 0.892
0.575 0.250 0.108
0.623 0.750 0.841
0.683 0.250 0.572
0.695 0.750 0.249
0.741 0.250 0.981
0.799 0.750 0.717
0.887 0.750 0.192
0.940 0.250 0.930
0.995 0.750 0.667
0.163 0.750 0.532
0.487 0.250 0.628
0.513 0.750 0.372
0.837 0.250 0.468